Arrangement i

K2BiBr5O2: relaxed, PBE.

The structure belongs to space group Pnma (No. 62); the cell edges are 9.139, 19.450 and 13.528 Å and the angles 90.00°, 90.00° and 90.00°. Symmetry generates all atoms from K at (0.024, 0.017, 0.214), K at (0.028, 0.750, 0.885), K at (0.150, 0.750, 0.162), Bi at (0.097, 0.618, 0.503), Br at (0.046, 0.134, 0.689), Br at (0.074, 0.090, 0.973), Br at (0.088, 0.250, 0.390), Br at (0.175, 0.022, 0.442), Br at (0.236, 0.750, 0.454), Br at (0.242, 0.155, 0.241), O at (0.055, 0.659, 0.025) and O at (0.158, 0.591, 0.662).

Arrangement ii

K2BiBr5O2: relaxed, PBE.

The structure belongs to space group Pnma (No. 62); the cell edges are 8.561, 21.369 and 14.065 Å and the angles 90.00°, 90.00° and 90.00°. Symmetry generates all atoms from K at (0.010, 0.250, 0.151), K at (0.041, 0.521, 0.804), K at (0.175, 0.250, 0.843), Bi at (0.097, 0.141, 0.486), Br at (0.023, 0.633, 0.315), Br at (0.111, 0.750, 0.552), Br at (0.118, 0.577, 0.027), Br at (0.121, 0.558, 0.572), Br at (0.199, 0.750, 0.066), Br at (0.210, 0.151, 0.297), O at (0.034, 0.177, 0.987) and O at (0.182, 0.543, 0.297).

Looking at the structures above, arrangement i is most stable, and the difference to the next one is 299 meV per atom.